Record 1
34
Lattice="-2.981 -5.022 1.464 -0.062 -4.643 -3.909 8.224 -3.758 4.140" Properties=species:S:1:pos:R:3 comment="Li10Mn3V5O16, relaxed, DFT PBE+U" sg=P1 formation_enthalpy_0k_ev_per_atom=-2.2454 m_tot_mub_per_atom=0.71 final_energy_ev_per_atom=-6.56 pbc="T T T"
Li -0.130 -2.016 -0.254
Li -1.385 -4.025 0.293
Li 1.202 -4.204 0.206
Li -0.252 -3.936 -1.885
Li 2.119 -7.878 1.926
Li 5.139 -8.651 5.473
Li 4.283 -9.264 1.543
Li 2.067 -9.794 0.318
Li 0.982 -6.850 3.376
Li 3.301 -7.705 -0.255
Mn 5.908 -6.824 0.825
Mn -0.218 -9.087 -0.932
Mn 1.278 -6.605 -1.629
V 5.930 -4.521 2.793
V 3.278 -5.190 1.291
V -1.825 -6.473 -1.585
V 4.458 -6.988 3.502
V -0.183 -6.797 0.991
O 2.576 -7.538 4.097
O 3.941 -4.998 3.349
O 1.375 -5.707 1.879
O 1.418 -0.750 0.633
O 6.375 -6.510 2.933
O 2.874 -3.172 1.115
O 3.872 -7.154 1.514
O 5.284 -4.753 0.849
O -1.702 -7.790 0.076
O 4.928 -9.017 3.602
O 2.803 -5.555 -0.771
O -0.335 -5.440 -0.599
O 1.270 -7.846 -0.003
O 5.018 -11.396 1.631
O -0.260 -7.588 -2.463
O 6.465 -8.943 0.866

Record 2
28
Lattice="-5.827 -1.195 1.284 1.752 -3.723 4.484 -0.130 6.406 5.369" Properties=species:S:1:pos:R:3 comment="LiMnVO4, relaxed, DFT PBE+U" sg=P4_322 formation_enthalpy_0k_ev_per_atom=-2.3105 m_tot_mub_per_atom=0.71 final_energy_ev_per_atom=-7.14 e_ij_max_c_m2=0.01 de_polymorph_mev_per_atom=61 pbc="T T T"
Li 0.438 -0.931 1.122
Li 1.248 0.411 6.047
Li -1.490 1.302 1.663
Li -4.468 3.908 4.989
Mn -1.116 2.756 4.819
Mn -0.286 2.524 8.370
Mn -3.952 0.566 4.109
Mn -3.058 -2.869 4.975
V -1.624 -0.275 6.796
V -3.731 2.018 7.262
V -0.475 -0.530 3.875
V -2.648 4.966 7.025
O 0.203 0.586 2.665
O 0.999 -1.206 4.611
O -1.649 5.872 5.863
O 0.019 -0.640 7.377
O -4.163 -0.971 1.163
O -2.621 -1.285 7.871
O -5.203 2.590 6.439
O -4.411 1.006 8.559
O -0.739 -1.966 2.659
O -0.743 0.796 5.208
O -2.377 -0.153 3.046
O -1.585 -1.525 5.367
O -2.628 3.340 6.044
O -1.822 1.314 7.817
O -3.409 0.578 6.067
O -3.522 3.568 8.340